This record from the Materials Project describes an optimized crystal structure of TaFeN2. The functional is PBE-GGA.

Cell lengths 5.7645, 9.8432, 12.9403 Å; angles 90.00, 90.00, 90.00 degrees
Atoms (fractional coordinates):
Ta 0.1414 0.6555 0.5406
Ta 0.2217 0.9428 0.7095
Ta 0.7783 0.4428 0.7905
Ta 0.2217 0.5572 0.2095
Ta 0.6414 0.8445 0.4594
Ta 0.3586 0.1555 0.5406
Ta 0.2783 0.0572 0.2095
Ta 0.2783 0.4428 0.7095
Ta 0.7783 0.0572 0.2905
Ta 0.7217 0.9428 0.7905
Ta 0.6414 0.6555 0.9594
Ta 0.1414 0.8445 0.0406
Ta 0.8586 0.3445 0.4594
Ta 0.8586 0.1555 0.9594
Ta 0.3586 0.3445 0.0406
Ta 0.7217 0.5572 0.2905
N 0.9471 0.5143 0.6631
N 0.1998 0.2238 0.9369
N 0.6998 0.2762 0.0631
N 0.9471 0.9857 0.1631
N 0.4471 0.9857 0.3369
N 0.2715 0.2413 0.6743
N 0.3664 0.4979 0.5650
N 0.2285 0.7587 0.1743
N 0.8664 0.4979 0.9350
N 0.6336 0.5021 0.4350
N 0.0529 0.4857 0.3369
N 0.1336 0.5021 0.0650
N 0.2715 0.2587 0.1743
N 0.7285 0.7587 0.3257
N 0.3002 0.7238 0.9369
N 0.5529 0.4857 0.1631
N 0.8664 0.0021 0.4350
N 0.8002 0.7762 0.0631
N 0.7285 0.7413 0.8257
N 0.2285 0.7413 0.6743
N 0.8002 0.7238 0.5631
N 0.6998 0.2238 0.5631
N 0.5529 0.0143 0.6631
N 0.7715 0.2587 0.3257
N 0.4471 0.5143 0.8369
N 0.1336 0.9979 0.5650
N 0.0529 0.0143 0.8369
N 0.6336 0.9979 0.9350
N 0.3664 0.0021 0.0650
N 0.7715 0.2413 0.8257
N 0.3002 0.7762 0.4369
N 0.1998 0.2762 0.4369
Fe 0.5991 0.2811 0.2035
Fe 0.6834 0.5481 0.5772
Fe 0.0991 0.2811 0.2965
Fe 0.9009 0.7811 0.2035
Fe 0.1834 0.9519 0.4228
Fe 0.8166 0.0481 0.5772
Fe 0.3166 0.4519 0.4228
Fe 0.3166 0.0481 0.9228
Fe 0.0991 0.2189 0.7965
Fe 0.5991 0.2189 0.7035
Fe 0.8166 0.4519 0.0772
Fe 0.4009 0.7189 0.7965
Fe 0.9009 0.7189 0.7035
Fe 0.4009 0.7811 0.2965
Fe 0.1834 0.5481 0.9228
Fe 0.6834 0.9519 0.0772

Results
* DFT formation energy: -12.377 kcal/mol of atoms

***

This record from the Materials Project describes an optimized crystal structure of Tb2Fe17N2. The functional is PBE-GGA.

Cell lengths 6.4550, 6.4550, 6.5178 Å; angles 83.57, 83.57, 82.82 degrees
Atoms (fractional coordinates):
Tb 0.3410 0.3410 0.3440
Tb 0.6590 0.6590 0.6560
Fe 0.8529 0.3451 0.3396
Fe 0.0019 0.7164 0.2823
Fe 0.0957 0.0957 0.0951
Fe 0.9043 0.9043 0.9049
Fe 0.5000 0.0000 0.0000
Fe 0.7087 0.2913 0.0000
Fe 0.2836 0.9981 0.7177
Fe 0.6549 0.1471 0.6604
Fe 0.3451 0.8529 0.3396
Fe 0.3446 0.3446 0.8551
Fe 0.6554 0.6554 0.1449
Fe 0.9981 0.2836 0.7177
Fe 0.1471 0.6549 0.6604
Fe 0.0000 0.0000 0.5000
Fe 0.0000 0.5000 0.0000
Fe 0.7164 0.0019 0.2823
Fe 0.2913 0.7087 0.0000
N 0.5000 0.0000 0.5000
N 0.0000 0.5000 0.5000

Results
* DFT formation energy: -4.513 kcal/mol of atoms

***

This record from the Materials Project describes an optimized crystal structure of Tb2Fe17N3. The functional is PBE-GGA.

Cell lengths 6.5114, 6.5114, 6.5114 Å; angles 82.97, 82.97, 82.97 degrees
Atoms (fractional coordinates):
Fe 0.1434 0.6571 0.6571
Fe 0.9049 0.9049 0.9049
Fe 0.8566 0.3429 0.3429
Fe 0.7179 0.0000 0.2821
Fe 0.7179 0.2821 0.0000
Fe 0.0000 0.2821 0.7179
Fe 0.5000 0.0000 0.0000
Fe 0.2821 0.7179 0.0000
Fe 0.3429 0.8566 0.3429
Fe 0.2821 0.0000 0.7179
Fe 0.6571 0.1434 0.6571
Fe 0.0000 0.7179 0.2821
Fe 0.6571 0.6571 0.1434
Fe 0.0951 0.0951 0.0951
Fe 0.0000 0.5000 0.0000
Fe 0.0000 0.0000 0.5000
Fe 0.3429 0.3429 0.8566
Tb 0.3413 0.3413 0.3413
Tb 0.6587 0.6587 0.6587
N 0.0000 0.5000 0.5000
N 0.5000 0.0000 0.5000
N 0.5000 0.5000 0.0000

Results
* DFT formation energy: -6.395 kcal/mol of atoms

***

This record from the Materials Project describes an optimized crystal structure of Fe4Te3N2. The functional is PBE-GGA.

Cell lengths 6.1790, 10.5159, 9.1011 Å; angles 90.00, 90.00, 90.00 degrees
Atoms (fractional coordinates):
Fe 0.1832 0.0129 0.4415
Fe 0.6570 0.2500 0.9510
Fe 0.3058 0.2500 0.0757
Fe 0.6832 0.4871 0.0585
Fe 0.1942 0.7500 0.5757
Fe 0.6832 0.0129 0.0585
Fe 0.6942 0.7500 0.9243
Fe 0.8168 0.5129 0.5585
Fe 0.1570 0.2500 0.5490
Fe 0.3168 0.5129 0.9415
Fe 0.8430 0.7500 0.4510
Fe 0.8168 0.9871 0.5585
Fe 0.8058 0.2500 0.4243
Fe 0.3168 0.9871 0.9415
Fe 0.3430 0.7500 0.0490
Fe 0.1832 0.4871 0.4415
Te 0.5920 0.7500 0.6615
Te 0.0731 0.5670 0.1690
Te 0.4080 0.2500 0.3385
Te 0.4269 0.4330 0.6690
Te 0.0920 0.7500 0.8385
Te 0.9269 0.0670 0.8310
Te 0.5731 0.9330 0.3310
Te 0.9080 0.2500 0.1615
Te 0.4269 0.0670 0.6690
Te 0.0731 0.9330 0.1690
Te 0.5731 0.5670 0.3310
Te 0.9269 0.4330 0.8310
N 0.0378 0.6233 0.5109
N 0.5378 0.8767 0.9891
N 0.9622 0.3767 0.4891
N 0.4622 0.3767 0.0109
N 0.4622 0.1233 0.0109
N 0.0378 0.8767 0.5109
N 0.5378 0.6233 0.9891
N 0.9622 0.1233 0.4891

Results
* DFT formation energy: 0.023 kcal/mol of atoms

***

In order of appearance, size of the total moment = 0.04; 38.53; 38.00; 6.71 Bohr magnetons per cell.